# 1
Crystalline V2PbN4 at its relaxed geometry. Source: the Materials Project, functional PBE.

Crystal system   cubic
Uncorrected energy   -689.9 eV per cell
Magnetization   0.0000 μB per atom

Lattice parameters (Å, degrees): 10.6356 10.6356 10.6356 90.00 90.00 90.00
Last column: nearest neighbours and their distance in Å.
Sites, in units of the cell vectors:
V: 0.3783 0.7025 0.3583  4 N 1.80-1.86
V: 0.6217 0.2025 0.1417  4 N 1.80-1.86
V: 0.1217 0.2975 0.8583  4 N 1.80-1.86
V: 0.8783 0.7975 0.6417  4 N 1.80-1.86
V: 0.3583 0.3783 0.7025  4 N 1.80-1.86
V: 0.1417 0.6217 0.2025  4 N 1.80-1.86
V: 0.8583 0.1217 0.2975  4 N 1.80-1.86
V: 0.6417 0.8783 0.7975  4 N 1.80-1.86
V: 0.7025 0.3583 0.3783  4 N 1.80-1.86
V: 0.2025 0.1417 0.6217  4 N 1.80-1.86
V: 0.2975 0.8583 0.1217  4 N 1.80-1.86
V: 0.7975 0.6417 0.8783  4 N 1.80-1.86
V: 0.6217 0.2975 0.6417  4 N 1.80-1.86
V: 0.3783 0.7975 0.8583  4 N 1.80-1.86
V: 0.8783 0.7025 0.1417  4 N 1.80-1.86
V: 0.1217 0.2025 0.3583  4 N 1.80-1.86
V: 0.6417 0.6217 0.2975  4 N 1.80-1.86
V: 0.8583 0.3783 0.7975  4 N 1.80-1.86
V: 0.1417 0.8783 0.7025  4 N 1.80-1.86
V: 0.3583 0.1217 0.2025  4 N 1.80-1.86
V: 0.2975 0.6417 0.6217  4 N 1.80-1.86
V: 0.7975 0.8583 0.3783  4 N 1.80-1.86
V: 0.7025 0.1417 0.8783  4 N 1.80-1.86
V: 0.2025 0.3583 0.1217  4 N 1.80-1.86
Pb: 0.5000 0.5000 0.0000  12 N 3.11-3.18
Pb: 0.5000 0.0000 0.5000  12 N 3.11-3.18
Pb: 0.0000 0.5000 0.5000  12 N 3.11-3.18
Pb: 0.0000 0.0000 0.0000  12 N 3.11-3.18
Pb: 0.1221 0.8779 0.3779  6 N 2.66-2.74
Pb: 0.8779 0.3779 0.1221  6 N 2.66-2.74
Pb: 0.3779 0.1221 0.8779  6 N 2.66-2.74
Pb: 0.6221 0.6221 0.6221  6 N 2.66-2.74
Pb: 0.8779 0.1221 0.6221  6 N 2.66-2.74
Pb: 0.1221 0.6221 0.8779  6 N 2.66-2.74
Pb: 0.6221 0.8779 0.1221  6 N 2.66-2.74
Pb: 0.3779 0.3779 0.3779  6 N 2.66-2.74
N: 0.3587 0.8570 0.2792  2 V 1.80-1.86
N: 0.6413 0.3570 0.2208  2 V 1.80-1.86
N: 0.1413 0.1430 0.7792  2 V 1.80-1.86
N: 0.8587 0.6430 0.7208  2 V 1.80-1.86
N: 0.2792 0.3587 0.8570  2 V 1.80-1.86
N: 0.2208 0.6413 0.3570  2 V 1.80-1.86
N: 0.7792 0.1413 0.1430  2 V 1.80-1.86
N: 0.7208 0.8587 0.6430  2 V 1.80-1.86
N: 0.8570 0.2792 0.3587  2 V 1.80-1.86
N: 0.3570 0.2208 0.6413  2 V 1.80-1.86
N: 0.1430 0.7792 0.1413  2 V 1.80-1.86
N: 0.6430 0.7208 0.8587  2 V 1.80-1.86
N: 0.6413 0.1430 0.7208  2 V 1.80-1.86
N: 0.3587 0.6430 0.7792  2 V 1.80-1.86
N: 0.8587 0.8570 0.2208  2 V 1.80-1.86
N: 0.1413 0.3570 0.2792  2 V 1.80-1.86
N: 0.7208 0.6413 0.1430  2 V 1.80-1.86
N: 0.7792 0.3587 0.6430  2 V 1.80-1.86
N: 0.2208 0.8587 0.8570  2 V 1.80-1.86
N: 0.2792 0.1413 0.3570  2 V 1.80-1.86
N: 0.1430 0.7208 0.6413  2 V 1.80-1.86
N: 0.6430 0.7792 0.3587  2 V 1.80-1.86
N: 0.8570 0.2208 0.8587  2 V 1.80-1.86
N: 0.3570 0.2792 0.1413  2 V 1.80-1.86
N: 0.4147 0.7211 0.5237  2 V 1.81-1.83
N: 0.5853 0.2211 0.9763  2 V 1.81-1.83
N: 0.0853 0.2789 0.0237  2 V 1.81-1.83
N: 0.9147 0.7789 0.4763  2 V 1.81-1.83
N: 0.5237 0.4147 0.7211  2 V 1.81-1.83
N: 0.9763 0.5853 0.2211  2 V 1.81-1.83
N: 0.0237 0.0853 0.2789  2 V 1.81-1.83
N: 0.4763 0.9147 0.7789  2 V 1.81-1.83
N: 0.7211 0.5237 0.4147  2 V 1.81-1.83
N: 0.2211 0.9763 0.5853  2 V 1.81-1.83
N: 0.2789 0.0237 0.0853  2 V 1.81-1.83
N: 0.7789 0.4763 0.9147  2 V 1.81-1.83
N: 0.5853 0.2789 0.4763  2 V 1.81-1.83
N: 0.4147 0.7789 0.0237  2 V 1.81-1.83
N: 0.9147 0.7211 0.9763  2 V 1.81-1.83
N: 0.0853 0.2211 0.5237  2 V 1.81-1.83
N: 0.4763 0.5853 0.2789  2 V 1.81-1.83
N: 0.0237 0.4147 0.7789  2 V 1.81-1.83
N: 0.9763 0.9147 0.7211  2 V 1.81-1.83
N: 0.5237 0.0853 0.2211  2 V 1.81-1.83
N: 0.2789 0.4763 0.5853  2 V 1.81-1.83
N: 0.7789 0.0237 0.4147  2 V 1.81-1.83
N: 0.7211 0.9763 0.9147  2 V 1.81-1.83
N: 0.2211 0.5237 0.0853  2 V 1.81-1.83



# 2
Crystalline CaMg6CO8 at its relaxed geometry. Source: the Materials Project, functional PBE.

Crystal system   tetragonal
Uncorrected energy   -93.0 eV per cell
E above lowest polymorph   0.004 eV/atom
Magnetization   0.0000 μB per atom

Lattice parameters (Å, degrees): 8.6005 4.3478 4.3478 90.00 90.00 90.00
Last column: nearest neighbours and their distance in Å.
Sites, in units of the cell vectors:
Ca: 0.0000 0.0000 0.0000  6 O 2.17-2.28
Mg: 0.0000 0.5000 0.5000  6 O 2.17
Mg: 0.5000 0.5000 0.5000  6 O 2.13-2.17
Mg: 0.2600 0.0000 0.5000  6 O 2.06-2.24
Mg: 0.7400 0.0000 0.5000  6 O 2.06-2.24
Mg: 0.2600 0.5000 0.0000  6 O 2.06-2.24
Mg: 0.7400 0.5000 0.0000  6 O 2.06-2.24
C: 0.5000 0.0000 0.0000  6 O 2.02-2.17
O: 0.2655 0.0000 0.0000  1 C 2.02, 4 Mg 2.17
O: 0.7345 0.0000 0.0000  1 C 2.02, 4 Mg 2.17
O: 0.2522 0.5000 0.5000  6 Mg 2.13-2.17
O: 0.7478 0.5000 0.5000  6 Mg 2.13-2.17
O: 0.0000 0.0000 0.5000  4 Mg 2.17-2.24, 2 Ca 2.17
O: 0.5000 0.0000 0.5000  4 Mg 2.06-2.17, 2 C 2.17
O: 0.0000 0.5000 0.0000  4 Mg 2.17-2.24, 2 Ca 2.17
O: 0.5000 0.5000 0.0000  4 Mg 2.06-2.17, 2 C 2.17



# 3
Crystalline Mg6TiCu at its relaxed geometry. Source: the Materials Project, functional PBE.

Uncorrected energy   -41.2 eV per cell
E above lowest polymorph   0.013 eV/atom
Magnetization   0.1950 μB per atom

Lattice parameters (Å, degrees): 4.8465 6.1481 10.7476 90.00 90.00 90.00
Last column: nearest neighbours and their distance in Å.
Sites, in units of the cell vectors:
Mg: 0.5000 0.2535 0.4180  8 Mg 3.01-3.12, 2 Cu 3.06-3.13, 2 Ti 3.08-3.11
Mg: 0.5000 0.7465 0.4180  8 Mg 3.01-3.12, 2 Cu 3.06-3.13, 2 Ti 3.08-3.11
Mg: 0.0000 0.7531 0.0879  2 Cu 2.98, 8 Mg 2.98-3.21, 2 Ti 3.01
Mg: 0.0000 0.2469 0.0879  2 Cu 2.98, 8 Mg 2.98-3.21, 2 Ti 3.01
Mg: 0.0000 0.0000 0.3262  10 Mg 2.98-3.21, 2 Cu 2.98
Mg: 0.0000 0.5000 0.3289  2 Ti 2.98, 10 Mg 3.01-3.17
Mg: 0.5000 0.7535 0.9180  8 Mg 3.01-3.12, 2 Cu 3.06-3.13, 2 Ti 3.08-3.11
Mg: 0.5000 0.2465 0.9180  8 Mg 3.01-3.12, 2 Cu 3.06-3.13, 2 Ti 3.08-3.11
Mg: 0.0000 0.2531 0.5879  2 Cu 2.98, 8 Mg 2.98-3.21, 2 Ti 3.01
Mg: 0.0000 0.7469 0.5879  2 Cu 2.98, 8 Mg 2.98-3.21, 2 Ti 3.01
Mg: 0.0000 0.5000 0.8262  10 Mg 2.98-3.21, 2 Cu 2.98
Mg: 0.0000 0.0000 0.8289  2 Ti 2.98, 10 Mg 3.01-3.17
Ti: 0.5000 0.5000 0.1681  10 Mg 2.98-3.11, 2 Cu 3.07
Ti: 0.5000 0.0000 0.6681  10 Mg 2.98-3.11, 2 Cu 3.07
Cu: 0.5000 0.0000 0.1650  10 Mg 2.98-3.13, 2 Ti 3.07
Cu: 0.5000 0.5000 0.6650  10 Mg 2.98-3.13, 2 Ti 3.07



# 4
Crystalline Sr3Cr at its relaxed geometry. Source: the Materials Project, functional PBE.

Crystal system   cubic
Uncorrected energy   -12.7 eV per cell
Magnetization   1.1862 μB per atom

Lattice parameters (Å, degrees): 5.5357 5.5357 5.5357 90.00 90.00 90.00
Last column: nearest neighbours and their distance in Å.
Sites, in units of the cell vectors:
Sr: 0.0000 0.5000 0.5000  4 Cr 3.91, 8 Sr 3.91
Sr: 0.5000 0.0000 0.5000  4 Cr 3.91, 8 Sr 3.91
Sr: 0.5000 0.5000 0.0000  4 Cr 3.91, 8 Sr 3.91
Cr: 0.0000 0.0000 0.0000  12 Sr 3.91



# 5
Crystalline Er9Fe10Ge10 at its relaxed geometry. Source: the Materials Project, functional PBE.

Crystal system   orthorhombic
Uncorrected energy   -187.8 eV per cell
Magnetization   0.5675 μB per atom

Lattice parameters (Å, degrees): 5.3524 10.0542 10.0542 83.03 74.56 74.56
Last column: nearest neighbours and their distance in Å.
Sites, in units of the cell vectors:
Er: 0.6364 0.7165 0.0108  7 Ge 2.92-3.08, 4 Fe 3.09-3.25
Er: 0.3636 0.2835 0.9892  7 Ge 2.92-3.08, 4 Fe 3.09-3.25
Er: 0.3636 0.9892 0.2835  7 Ge 2.92-3.08, 4 Fe 3.09-3.25
Er: 0.6364 0.0108 0.7165  7 Ge 2.92-3.08, 4 Fe 3.09-3.25
Er: 0.1975 0.8025 0.8025  6 Ge 2.82-3.09, 5 Fe 2.95-3.13
Er: 0.8025 0.1975 0.1975  6 Ge 2.82-3.09, 5 Fe 2.95-3.13
Er: 0.0000 0.7811 0.2189  6 Ge 2.89-3.21, 4 Fe 3.15
Er: 0.0000 0.2189 0.7811  6 Ge 2.89-3.21, 4 Fe 3.15
Er: 0.0000 0.5000 0.5000  2 Ge 2.93, 12 Fe 2.98-3.20
Fe: 0.1011 0.5100 0.7978  4 Ge 2.47-2.56, 3 Fe 2.48-2.73
Fe: 0.4090 0.4900 0.2022  4 Ge 2.47-2.56, 3 Fe 2.48-2.73
Fe: 0.8989 0.2022 0.4900  4 Ge 2.47-2.56, 3 Fe 2.48-2.73
Fe: 0.5910 0.7978 0.5100  4 Ge 2.47-2.56, 3 Fe 2.48-2.73
Fe: 0.8989 0.4900 0.2022  4 Ge 2.47-2.56, 3 Fe 2.48-2.73
Fe: 0.5910 0.5100 0.7978  4 Ge 2.47-2.56, 3 Fe 2.48-2.73
Fe: 0.1011 0.7978 0.5100  4 Ge 2.47-2.56, 3 Fe 2.48-2.73
Fe: 0.4090 0.2022 0.4900  4 Ge 2.47-2.56, 3 Fe 2.48-2.73
Fe: 0.4073 0.5927 0.5927  5 Fe 2.48-2.61, 2 Ge 2.64
Fe: 0.5927 0.4073 0.4073  5 Fe 2.48-2.61, 2 Ge 2.64
Ge: 0.7494 0.0000 0.0000  2 Ge 2.67-2.68
Ge: 0.2506 0.0000 0.0000  2 Ge 2.67-2.68
Ge: 0.2054 0.5830 0.0061  4 Fe 2.47-2.54
Ge: 0.7946 0.4170 0.9939  4 Fe 2.47-2.54
Ge: 0.7946 0.9939 0.4170  4 Fe 2.47-2.54
Ge: 0.2054 0.0061 0.5830  4 Fe 2.47-2.54
Ge: 0.7918 0.7082 0.7082  4 Fe 2.47
Ge: 0.2082 0.2918 0.2918  4 Fe 2.47
Ge: 0.5000 0.6726 0.3274  6 Fe 2.56-2.64
Ge: 0.5000 0.3274 0.6726  6 Fe 2.56-2.64



Q: magnetization of number 4 (Sr3Cr)?
A: 1.1862 μB per atom